[1]
86
Lattice="8.4857 0.0000 0.0000 -3.7838 9.7261 0.0000 -1.2197 -2.0386 13.3067" Properties=species:S:1:pos:R:3 comment="BaTi14O28, relaxed, DFT GGA-PBE" energy_mp2020_ev_per_atom=-9.2981 formation_energy_ev_per_atom=-3.46 spacegroup="P-1 (2)" pbc="T T T"
Ba 0.4799 2.3418 2.8453
Ba 3.0022 5.3457 10.4615
Ti 0.8615 6.5512 3.8472
Ti 2.4467 4.9089 5.7763
Ti 1.8273 6.2473 0.4260
Ti -0.9333 5.9020 11.8138
Ti -3.1695 6.5159 7.1482
Ti -0.0743 3.0852 10.9549
Ti 1.6549 1.4402 12.8807
Ti -1.5772 4.8240 9.0542
Ti 4.4155 1.7855 1.4929
Ti -0.6191 4.5787 5.6599
Ti 1.0354 2.7786 7.5304
Ti 4.7444 7.8990 1.7928
Ti -2.1581 6.2181 3.6848
Ti 2.6206 1.1363 9.4595
Ti 4.1012 3.1088 7.6468
Ti 5.6402 1.4695 9.6219
Ti -1.2622 -0.2115 11.5139
Ti -0.7389 8.2500 1.9519
Ti 0.3026 -1.8693 13.2725
Ti 3.5565 4.6023 2.3518
Ti 6.6517 1.1716 6.1585
Ti 5.0593 2.8635 4.2526
Ti -0.3303 -0.4730 8.0252
Ti -2.4184 7.6418 9.8753
Ti 3.8124 8.1605 5.2815
Ti 5.9005 0.0458 3.4314
Ti 3.1795 9.5569 0.0343
Ti 4.2211 -0.5624 11.3549
O 0.8162 6.0208 12.8173
O 2.4038 4.3385 7.6483
O -0.7461 7.6469 3.8244
O 0.8237 5.9821 5.7248
O 0.7983 6.9448 1.8743
O 2.3563 5.2067 3.7697
O -1.6235 6.6649 8.3557
O -0.0061 4.9978 10.2522
O 1.5662 3.3190 12.1324
O 3.4883 2.6898 3.0545
O -2.5019 5.7371 10.6136
O -0.8957 4.0624 12.5018
O 1.9159 4.3686 1.1743
O 4.8195 7.5179 3.7685
O -2.0900 5.8468 5.6747
O -0.5125 4.1715 7.5766
O 1.0784 3.3490 5.6585
O -2.1170 6.7988 1.8133
O -0.5197 5.0533 3.7058
O 2.6584 1.7054 7.5820
O 1.1258 2.4808 9.5370
O 2.6838 0.7427 11.4324
O 5.1431 4.7112 8.0572
O 3.6109 6.3811 6.0950
O -0.1321 1.3288 11.8308
O 4.2112 0.0310 2.3141
O -1.7413 3.0322 9.9250
O 2.6659 1.6667 0.4894
O -1.6609 2.9763 5.2496
O 3.6142 6.3587 1.4759
O 5.2234 4.6554 3.3818
O -0.1288 1.3064 7.2117
O 1.4013 -0.3184 9.0364
O -0.7291 7.6566 10.9926
O 3.9946 3.5160 5.7301
O 5.5722 1.8407 7.6321
O 4.0018 2.6342 9.6009
O -0.1309 1.3178 0.0838
O 5.5991 0.8887 11.4934
O -2.3612 9.3957 1.9393
O -1.9912 6.5539 13.2963
O 0.1769 -1.5204 11.3558
O -1.3374 0.1697 9.5382
O 5.9840 1.9504 2.6932
O 7.5263 0.3264 4.5200
O 4.3779 3.6252 0.8050
O -3.2089 8.3265 6.4651
O 6.6910 -0.6390 6.8416
O 5.1056 1.0226 4.9510
O -4.0442 7.3611 8.7868
O 5.4733 1.1336 0.0104
O 3.3052 9.2079 1.9509
O 3.6130 6.3698 13.2229
O 5.8433 -1.7081 11.3675
O 4.2282 0.0407 9.4823
O 2.0808 8.0059 4.2703

[2]
12
Lattice="-3.1931 -3.8640 -2.6353 3.7663 -3.9297 4.2403 -4.5823 3.7330 3.8690" Properties=species:S:1:pos:R:3 comment="Mg2Si, relaxed, DFT GGA-PBE" energy_mp2020_ev_per_atom=-2.8421 formation_energy_ev_per_atom=0.03 spacegroup="P1 (1)" pbc="T T T"
Mg 0.5554 -5.4416 1.4913
Mg -1.6027 -3.2896 0.4240
Mg -0.7379 -0.6111 1.4240
Mg -3.5797 -0.3714 2.5099
Mg -1.5195 -2.8890 3.4377
Mg -4.8186 -1.7918 0.0726
Mg -2.9603 1.2601 5.5147
Mg -1.0394 -1.3258 6.5581
Si 0.9590 -1.7460 4.4997
Si -1.0506 -0.2175 4.0661
Si 1.1075 -4.1159 3.8794
Si -6.1739 0.0361 1.6034

[3]
4
Lattice="3.0035 3.1857 2.7359 -3.0360 3.2550 2.6158 -0.0520 -5.1505 -0.3533" Properties=species:S:1:pos:R:3 comment="Np3As, relaxed, DFT GGA-PBE" formation_energy_ev_per_atom=-0.02 spacegroup="I4/mmm (139)" pbc="T T T"
Np 1.4676 0.6278 2.5292
Np -1.5522 0.6624 2.4691
Np -0.0163 3.2204 2.6758
As 0.0000 0.0000 0.0000

[4]
4
Lattice="2.0673 -2.6830 3.8399 -4.3863 -1.7282 1.9976 1.3259 -0.5269 -4.9175" Properties=species:S:1:pos:R:3 comment="Na3Pt, relaxed, DFT GGA-PBE" formation_energy_ev_per_atom=-0.05 spacegroup="I4/mmm (139)" pbc="T T T"
Na 1.1168 -2.7077 0.9206
Na -2.1100 -2.2303 -0.0005
Na -1.1595 -2.2056 2.9188
Pt 0.0000 0.0000 0.0000